Li3Co4NiO8 | PBE with a Hubbard U | relaxed

Values from the calculation:
E: -5.521 eV/atom
space-group type: No. 12
ΔE_f: -1462.7 meV per atom

Cell lengths 5.771, 5.771, 5.751 Å; angles 119.32, 119.32, 59.50 degrees
Atoms (fractional coordinates):
Li: 0.000 0.000 0.000
Li: 0.000 0.500 0.000
Li: 0.500 0.000 0.000
Co: 0.000 0.000 0.500
Co: 0.000 0.500 0.500
Co: 0.500 0.000 0.500
Co: 0.500 0.500 0.000
Ni: 0.500 0.500 0.500
O: 0.227 0.744 0.730
O: 0.238 0.238 0.715
O: 0.254 0.254 0.274
O: 0.256 0.773 0.270
O: 0.744 0.227 0.730
O: 0.746 0.746 0.726
O: 0.762 0.762 0.285
O: 0.773 0.256 0.270